1.
A geometry-optimized MgCd2Te2Mo2O12 structure, computed with PBE with a Hubbard U.

Cell and atoms, written as POSCAR:
```
MgCd2Te2Mo2O12
1.0
0.074 2.270 -4.835
-3.427 -3.802 -1.531
-9.072 5.802 3.383
Mg Cd Te Mo O
1 2 2 2 12
direct
0.124 0.376 0.985
0.997 0.012 0.503
0.488 0.503 0.503
0.968 0.532 0.294
0.525 0.975 0.721
0.459 0.041 0.230
0.028 0.472 0.739
0.246 0.254 0.136
0.240 0.618 0.859
0.647 0.853 0.150
0.882 0.260 0.859
0.260 0.807 0.327
0.244 0.256 0.672
0.693 0.240 0.327
0.785 0.715 0.689
0.181 0.319 0.395
0.304 0.785 0.612
0.813 0.687 0.416
0.715 0.196 0.612
```

Values from the calculation:
- relative energy among the computed polymorphs (kJ/mol of formula units) = 127
- DFT formation energy (eV/atom) = -1.73
- energy with MP2020 corrections (eV per atom) = -6.509
- size of the total moment (μB per formula unit) = 2.00

2.
A geometry-optimized ZnNi2O4 structure, computed with PBE with a Hubbard U.

Cell and atoms, written as POSCAR:
```
ZnNi2O4
1.0
5.121 -2.940 0.000
5.121 2.940 0.000
3.433 0.000 4.805
Zn Ni O
2 4 8
direct
0.004 0.004 0.004
0.624 0.624 0.624
0.247 0.247 0.247
0.627 0.121 0.627
0.627 0.627 0.121
0.121 0.627 0.627
0.850 0.375 0.375
0.375 0.375 0.850
0.375 0.850 0.375
0.375 0.375 0.375
0.870 0.870 0.870
0.871 0.413 0.871
0.871 0.871 0.413
0.413 0.871 0.871
```

Values from the calculation:
- relative energy among the computed polymorphs (kJ/mol of formula units) = 69
- DFT formation energy (eV/atom) = -1.13
- energy with MP2020 corrections (eV per atom) = -5.788
- size of the total moment (μB per formula unit) = 3.00

3.
A geometry-optimized MnPb2WO6 structure, computed with PBE with a Hubbard U.

Cell and atoms, written as POSCAR:
```
MnPb2WO6
1.0
5.907 0.000 0.000
0.000 8.176 0.000
0.000 0.000 11.848
Mn Pb W O
4 8 4 24
direct
0.259 0.120 0.118
0.741 0.620 0.882
0.759 0.620 0.382
0.241 0.120 0.618
0.793 0.377 0.148
0.207 0.877 0.852
0.293 0.877 0.352
0.707 0.377 0.648
0.797 0.865 0.145
0.203 0.365 0.855
0.297 0.365 0.355
0.703 0.865 0.645
0.251 0.618 0.118
0.749 0.118 0.882
0.751 0.118 0.382
0.249 0.618 0.618
0.966 0.624 0.230
0.034 0.124 0.770
0.466 0.124 0.270
0.534 0.624 0.730
0.445 0.612 0.254
0.555 0.112 0.746
0.945 0.112 0.246
0.055 0.612 0.754
0.492 0.613 0.017
0.508 0.113 0.983
0.992 0.113 0.483
0.008 0.613 0.517
0.231 0.857 0.139
0.769 0.357 0.861
0.731 0.357 0.361
0.269 0.857 0.639
0.211 0.381 0.139
0.789 0.881 0.861
0.711 0.881 0.361
0.289 0.381 0.639
0.022 0.623 0.003
0.978 0.123 0.997
0.522 0.123 0.497
0.478 0.623 0.503
```

Values from the calculation:
- DFT formation energy (eV/atom) = -1.93
- energy with MP2020 corrections (eV per atom) = -7.849
- size of the total moment (μB per formula unit) = 5.00

4.
A geometry-optimized Li4V3Cr2Fe3O16 structure, computed with PBE with a Hubbard U.

Cell and atoms, written as POSCAR:
```
Li4V3Cr2Fe3O16
1.0
-3.670 -3.253 3.294
-0.522 -0.030 -5.899
6.187 -7.318 -0.375
Li V Cr Fe O
4 3 2 3 16
direct
0.667 0.339 0.106
0.000 0.996 0.003
0.998 0.002 0.504
0.340 0.678 0.606
0.657 0.839 0.286
0.831 0.661 0.788
0.160 0.825 0.289
0.667 0.332 0.516
0.331 0.656 0.016
0.834 0.172 0.786
0.339 0.170 0.786
0.173 0.338 0.287
0.834 0.163 0.399
0.524 0.045 0.658
0.680 0.357 0.897
0.991 0.981 0.690
0.994 0.992 0.189
0.326 0.144 0.397
0.963 0.497 0.661
0.534 0.495 0.662
0.160 0.320 0.902
0.827 0.673 0.393
0.479 0.518 0.160
0.041 0.538 0.162
0.338 0.672 0.399
0.669 0.816 0.895
0.492 0.962 0.162
0.150 0.817 0.895
```

Values from the calculation:
- DFT formation energy (eV/atom) = -2.19
- energy with MP2020 corrections (eV per atom) = -7.865
- size of the total moment (μB per formula unit) = 23.00

5.
A geometry-optimized Sr2CoSbO6 structure, computed with PBE with a Hubbard U.

Cell and atoms, written as POSCAR:
```
Sr2CoSbO6
1.0
-2.610 2.803 5.484
2.610 -2.803 5.484
2.610 2.803 -5.484
Sr Co Sb O
2 1 1 6
direct
0.668 0.168 0.500
0.332 0.832 0.500
0.500 0.500 0.000
0.000 0.500 0.500
0.318 0.318 0.000
0.257 0.251 0.508
0.743 0.251 0.994
0.682 0.682 0.000
0.743 0.749 0.492
0.257 0.749 0.006
```

Values from the calculation:
- DFT formation energy (eV/atom) = -1.91
- energy with MP2020 corrections (eV per atom) = -6.343
- size of the total moment (μB per formula unit) = 0.00

6.
A geometry-optimized K2RbGdV2O8 structure, computed with PBE with a Hubbard U.

Cell and atoms, written as POSCAR:
```
K2RbGdV2O8
1.0
3.034 -5.256 0.000
3.034 5.256 0.000
0.000 0.000 7.853
K Rb Gd V O
2 1 1 2 8
direct
0.667 0.333 0.800
0.333 0.667 0.200
0.000 0.000 0.500
0.000 0.000 0.000
0.667 0.333 0.252
0.333 0.667 0.748
0.824 0.176 0.174
0.824 0.649 0.174
0.351 0.176 0.174
0.649 0.824 0.826
0.176 0.351 0.826
0.176 0.824 0.826
0.333 0.667 0.534
0.667 0.333 0.466
```

Values from the calculation:
- DFT formation energy (eV/atom) = -2.72
- energy with MP2020 corrections (eV per atom) = -8.074
- size of the total moment (μB per formula unit) = 7.00

7.
A geometry-optimized Li2Fe3CoO8 structure, computed with PBE with a Hubbard U.

Cell and atoms, written as POSCAR:
```
Li2Fe3CoO8
1.0
-2.656 5.425 5.800
1.323 -5.729 5.963
7.831 2.807 0.960
Li Fe Co O
8 12 4 32
direct
0.752 0.752 0.752
0.998 0.998 0.998
0.002 0.498 0.502
0.248 0.252 0.748
0.252 0.748 0.248
0.498 0.502 0.002
0.502 0.002 0.498
0.748 0.248 0.252
0.877 0.375 0.873
0.875 0.627 0.123
0.873 0.877 0.375
0.127 0.377 0.125
0.125 0.127 0.377
0.123 0.875 0.627
0.377 0.125 0.127
0.375 0.873 0.877
0.373 0.623 0.625
0.627 0.123 0.875
0.625 0.373 0.623
0.623 0.625 0.373
0.875 0.125 0.625
0.125 0.625 0.875
0.375 0.375 0.375
0.625 0.875 0.125
0.869 0.134 0.853
0.866 0.353 0.631
0.863 0.637 0.363
0.897 0.616 0.881
0.853 0.869 0.134
0.887 0.387 0.113
0.884 0.119 0.397
0.881 0.897 0.616
0.119 0.397 0.884
0.116 0.619 0.103
0.113 0.887 0.387
0.147 0.369 0.366
0.103 0.116 0.619
0.137 0.137 0.137
0.134 0.853 0.869
0.131 0.634 0.647
0.369 0.366 0.147
0.366 0.147 0.369
0.363 0.863 0.637
0.397 0.884 0.119
0.353 0.631 0.866
0.387 0.113 0.887
0.384 0.381 0.603
0.381 0.603 0.384
0.619 0.103 0.116
0.616 0.881 0.897
0.613 0.613 0.613
0.647 0.131 0.634
0.603 0.384 0.381
0.637 0.363 0.863
0.634 0.647 0.131
0.631 0.866 0.353
```

Values from the calculation:
- relative energy among the computed polymorphs (kJ/mol of formula units) = 17
- DFT formation energy (eV/atom) = -1.63
- energy with MP2020 corrections (eV per atom) = -7.058
- size of the total moment (μB per formula unit) = 15.00

8.
A geometry-optimized Li5Mn3O8 structure, computed with PBE with a Hubbard U.

Cell and atoms, written as POSCAR:
```
Li5Mn3O8
1.0
-1.254 -4.173 -4.017
4.547 0.559 -1.999
3.208 -3.199 2.322
Li Mn O
5 3 8
direct
0.500 0.000 0.500
0.737 0.500 0.500
0.000 0.000 0.500
0.263 0.500 0.500
0.500 0.500 0.000
0.257 0.000 0.000
0.743 0.000 0.000
0.000 0.500 0.000
0.230 0.745 0.784
0.500 0.226 0.761
0.770 0.745 0.784
0.000 0.251 0.776
0.770 0.255 0.216
0.000 0.749 0.224
0.230 0.255 0.216
0.500 0.774 0.239
```

Values from the calculation:
- relative energy among the computed polymorphs (kJ/mol of formula units) = 21
- DFT formation energy (eV/atom) = -2.14
- energy with MP2020 corrections (eV per atom) = -6.925
- size of the total moment (μB per formula unit) = 10.00

9.
A geometry-optimized Gd2Mo4O15 structure, computed with PBE with a Hubbard U.

Cell and atoms, written as POSCAR:
```
Gd2Mo4O15
1.0
-3.669 -8.605 -1.494
4.537 0.283 10.103
-8.635 7.788 0.466
Gd Mo O
6 12 45
direct
0.765 0.775 0.825
0.786 0.945 0.411
0.214 0.055 0.589
0.235 0.225 0.175
0.335 0.659 0.797
0.665 0.341 0.203
0.584 0.222 0.480
0.086 0.311 0.448
0.091 0.534 0.182
0.067 0.870 0.202
0.909 0.466 0.818
0.523 0.435 0.867
0.266 0.982 0.918
0.734 0.018 0.082
0.914 0.689 0.552
0.477 0.565 0.133
0.416 0.778 0.520
0.933 0.130 0.798
0.149 0.745 0.223
0.547 0.574 0.802
0.334 0.284 0.751
0.755 0.381 0.619
0.245 0.619 0.381
0.103 0.696 0.661
0.780 0.987 0.801
0.851 0.255 0.777
0.658 0.095 0.450
0.474 0.734 0.662
0.415 0.558 0.958
0.775 0.693 0.625
0.325 0.610 0.164
0.666 0.716 0.249
0.415 0.163 0.521
0.383 0.145 0.066
0.881 0.790 0.051
0.052 0.918 0.887
0.333 0.853 0.941
0.119 0.210 0.949
0.617 0.855 0.934
0.220 0.013 0.199
0.286 0.017 0.781
0.112 0.379 0.167
0.948 0.082 0.113
0.000 0.500 0.000
0.225 0.307 0.375
0.193 0.465 0.597
0.969 0.066 0.657
0.095 0.508 0.802
0.675 0.390 0.836
0.585 0.837 0.479
0.453 0.426 0.198
0.714 0.983 0.219
0.807 0.535 0.403
0.905 0.492 0.198
0.888 0.621 0.833
0.034 0.157 0.488
0.585 0.442 0.042
0.897 0.304 0.339
0.667 0.147 0.059
0.526 0.266 0.338
0.031 0.934 0.343
0.342 0.905 0.550
0.966 0.843 0.512
```

Values from the calculation:
- DFT formation energy (eV/atom) = -2.49
- energy with MP2020 corrections (eV per atom) = -9.435
- size of the total moment (μB per formula unit) = 4.67

10.
A geometry-optimized SrV4Ag2O12 structure, computed with PBE with a Hubbard U.

Cell and atoms, written as POSCAR:
```
SrV4Ag2O12
1.0
-5.517 -9.203 -0.417
2.889 -1.267 -10.264
4.144 -2.551 1.481
Sr V Ag O
2 8 4 24
direct
0.000 0.000 0.500
0.500 0.500 0.500
0.500 0.217 0.000
0.217 0.500 0.000
0.000 0.283 0.000
0.717 0.000 0.000
0.500 0.783 0.000
0.000 0.717 0.000
0.783 0.500 0.000
0.283 0.000 0.000
0.750 0.750 0.500
0.750 0.250 0.500
0.250 0.250 0.500
0.250 0.750 0.500
0.430 0.303 0.237
0.697 0.430 0.237
0.197 0.070 0.237
0.070 0.197 0.763
0.383 0.883 0.151
0.930 0.197 0.237
0.117 0.383 0.151
0.617 0.883 0.849
0.303 0.570 0.237
0.883 0.383 0.849
0.930 0.803 0.763
0.803 0.930 0.237
0.070 0.803 0.237
0.570 0.303 0.763
0.303 0.430 0.763
0.617 0.117 0.151
0.117 0.617 0.849
0.430 0.697 0.763
0.803 0.070 0.763
0.197 0.930 0.763
0.883 0.617 0.151
0.383 0.117 0.849
0.570 0.697 0.237
0.697 0.570 0.763
```

Values from the calculation:
- DFT formation energy (eV/atom) = -2.21
- energy with MP2020 corrections (eV per atom) = -7.638
- size of the total moment (μB per formula unit) = 0.00

11.
A geometry-optimized KMo2C4O11 structure, computed with PBE with a Hubbard U.

Cell and atoms, written as POSCAR:
```
KMo2C4O11
1.0
-3.726 -6.743 -0.520
5.446 -2.466 6.085
-5.990 3.217 5.811
K Mo C O
2 4 8 22
direct
0.199 0.927 0.672
0.801 0.073 0.328
0.297 0.250 0.322
0.703 0.750 0.678
0.521 0.360 0.620
0.479 0.640 0.380
0.017 0.494 0.248
0.983 0.506 0.752
0.965 0.718 0.180
0.035 0.282 0.820
0.878 0.544 0.147
0.122 0.456 0.853
0.908 0.344 0.715
0.092 0.656 0.285
0.518 0.232 0.419
0.482 0.768 0.581
0.335 0.448 0.545
0.665 0.552 0.455
0.786 0.277 0.630
0.214 0.723 0.370
0.378 0.471 0.255
0.622 0.529 0.745
0.302 0.139 0.154
0.698 0.861 0.846
0.755 0.480 0.072
0.245 0.520 0.928
0.046 0.358 0.282
0.954 0.642 0.718
0.158 0.136 0.434
0.842 0.864 0.566
0.938 0.844 0.135
0.062 0.156 0.865
0.433 0.224 0.737
0.567 0.776 0.263
0.629 0.158 0.047
0.371 0.842 0.953
```

Values from the calculation:
- DFT formation energy (eV/atom) = -1.25
- energy with MP2020 corrections (eV per atom) = -7.593
- size of the total moment (μB per formula unit) = 3.00